Crystalline Li2Fe2C2O7 at its relaxed geometry. Source: Materials Project, functional GGA+U.

Structure (POSCAR):
```
Li2Fe2C2O7
1.0
6.0478 0.0000 0.0000
0.0000 9.6125 0.0000
0.0000 4.7443 9.5530
Li Fe C O
8 8 8 28
Direct
0.3023 0.0664 0.3564
0.9578 0.2536 0.5060
0.4578 0.2464 0.4940
0.1977 0.5664 0.3564
0.8023 0.4336 0.6436
0.5422 0.7536 0.5060
0.0422 0.7464 0.4940
0.6977 0.9336 0.6436
0.3975 0.2360 0.9740
0.1025 0.7360 0.9740
0.6001 0.4119 0.1582
0.8999 0.9119 0.1582
0.1001 0.0881 0.8418
0.3999 0.5881 0.8418
0.8975 0.2640 0.0260
0.6025 0.7640 0.0260
0.7689 0.0606 0.3606
0.1362 0.3538 0.2260
0.7311 0.5606 0.3606
0.3638 0.8538 0.2260
0.6362 0.1462 0.7740
0.2689 0.4394 0.6394
0.8638 0.6462 0.7740
0.2311 0.9394 0.6394
0.1173 0.1198 0.0180
0.8365 0.0729 0.2398
0.2949 0.2751 0.2032
0.3827 0.6198 0.0180
0.9668 0.3947 0.1437
0.6845 0.1796 0.3699
0.6635 0.5729 0.2398
0.1550 0.3865 0.3307
0.2051 0.7751 0.2032
0.5332 0.8947 0.1437
0.7099 0.4277 0.4703
0.2099 0.0723 0.5297
0.8155 0.6796 0.3699
0.3450 0.8865 0.3307
0.6550 0.1135 0.6693
0.1845 0.3204 0.6301
0.7901 0.9277 0.4703
0.2901 0.5723 0.5297
0.4668 0.1053 0.8563
0.7949 0.2249 0.7968
0.8450 0.6135 0.6693
0.3365 0.4271 0.7602
0.3155 0.8204 0.6301
0.0332 0.6053 0.8563
0.6173 0.3802 0.9820
0.7051 0.7249 0.7968
0.1635 0.9271 0.7602
0.8827 0.8802 0.9820
```

Distance to the lowest polymorph of the same formula in meV per atom: 12
Raw total energy in Ha/atom: -0.2506
Formation energy from the elements in eV/atom: -1.85
Total magnetization in μB per formula unit: 8.0
Corrected total energy (MP2020 scheme) in eV/atom: -7.54